Here is a geometry-optimized Na3Ti2Si2PO12 structure from the Materials Project database. Energies are from PBE.

Unit cell a=15.4439 b=8.9003 c=8.8940 alpha=90.00 beta=125.09 gamma=90.00
With the nearest neighbours (Å) after each atom.
Atoms (fractional coordinates):
O1 0.4643 0.8281 0.9394  1 Si 1.64
O2 0.7497 0.1721 0.2586  1 Si 1.63
O3 0.4223 0.6355 0.2552  1 P 1.56
O4 0.8607 0.6531 0.0805  1 Si 1.66, 1 Ti 1.82
O5 0.0816 0.1402 0.2455  1 P 1.54
O6 0.8529 0.4224 0.2563  1 Si 1.63
O7 0.3529 0.0776 0.7563  1 Si 1.63
O8 0.5632 0.5691 0.9161  1 P 1.55
O9 0.6507 0.0766 0.7404  1 Si 1.65
O10 0.7497 0.8279 0.7586  1 Si 1.63
O11 0.0816 0.8598 0.7455  1 P 1.54
O12 0.1507 0.5766 0.7404  1 Si 1.65
O13 0.6452 0.8551 0.9253  1 Si 1.65
O14 0.8607 0.3469 0.5805  1 Si 1.66, 1 Ti 1.82
O15 0.2497 0.3279 0.7586  1 Si 1.63
O16 0.5632 0.4309 0.4161  1 P 1.55
O17 0.7555 0.6849 0.2376  1 Si 1.62
O18 0.3607 0.1531 0.0805  1 Si 1.66, 1 Ti 1.82
O19 0.6507 0.9234 0.2404  1 Si 1.65
O20 0.2497 0.6721 0.2586  1 Si 1.63
O21 0.0372 0.3258 0.5608  1 Si 1.63
O22 0.5372 0.1742 0.0608  1 Si 1.63
O23 0.6452 0.1449 0.4253  1 Si 1.65
O24 0.9223 0.1355 0.2552  1 P 1.56
O25 0.5372 0.8258 0.5608  1 Si 1.63
O26 0.3529 0.9224 0.2563  1 Si 1.63
O27 0.4643 0.1719 0.4394  1 Si 1.64
O28 0.1452 0.3551 0.9253  1 Si 1.65
O29 0.1507 0.4234 0.2404  1 Si 1.65
O30 0.9643 0.6719 0.4394  1 Si 1.64
O31 0.9344 0.0588 0.5695  1 P 1.55
O32 0.0372 0.6742 0.0608  1 Si 1.63
O33 0.0632 0.0691 0.9161  1 P 1.55
O34 0.3607 0.8469 0.5805  1 Si 1.66, 1 Ti 1.82
O35 0.2555 0.1849 0.2376  1 Si 1.62
O36 0.2555 0.8151 0.7376  1 Si 1.62
O37 0.4344 0.4412 0.0695  1 P 1.55
O38 0.4223 0.3645 0.7552  1 P 1.56
O39 0.9223 0.8645 0.7552  1 P 1.56
O40 0.5816 0.6402 0.2455  1 P 1.54
O41 0.4344 0.5588 0.5695  1 P 1.55
O42 0.7555 0.3151 0.7376  1 Si 1.62
O43 0.9643 0.3281 0.9394  1 Si 1.64
O44 0.5816 0.3598 0.7455  1 P 1.54
O45 0.9344 0.9412 0.0695  1 P 1.55
O46 0.1452 0.6449 0.4253  1 Si 1.65
O47 0.0632 0.9309 0.4161  1 P 1.55
O48 0.8529 0.5776 0.7563  1 Si 1.63
Ti1 0.8936 0.7419 0.9344  5 O 1.82-2.03
Ti2 0.1063 0.2516 0.0616  5 O 1.88-2.02
Ti3 0.6063 0.2484 0.5616  5 O 1.88-2.02
Ti4 0.6063 0.7516 0.0616  5 O 1.88-2.02
Ti5 0.3936 0.7581 0.4344  5 O 1.82-2.03
Ti6 0.8936 0.2581 0.4344  5 O 1.82-2.03
Ti7 0.3936 0.2419 0.9344  5 O 1.82-2.03
Ti8 0.1063 0.7484 0.5616  5 O 1.88-2.02
Na1 0.5033 0.8811 0.2531  6 O 2.37-2.54
Na2 0.3103 0.5624 0.7231  5 O 2.37-2.56
Na3 0.2450 0.7702 0.9964  5 O 2.35-2.54
Na4 0.8103 0.9376 0.2231  5 O 2.37-2.56
Na5 0.5033 0.1189 0.7531  6 O 2.37-2.54
Na6 0.8103 0.0624 0.7231  5 O 2.37-2.56
Na7 0.7450 0.7298 0.4964  5 O 2.35-2.54
Na8 0.2450 0.2298 0.4964  5 O 2.35-2.54
Na9 0.0033 0.3811 0.2531  6 O 2.37-2.54
Na10 0.7450 0.2702 0.9964  5 O 2.35-2.54
Na11 0.3103 0.4376 0.2231  5 O 2.37-2.56
Na12 0.0033 0.6189 0.7531  6 O 2.37-2.54
P1 0.5021 0.4640 0.7466  4 O 1.54-1.56
P2 0.5021 0.5360 0.2466  4 O 1.54-1.56
P3 0.0021 0.0360 0.2466  4 O 1.54-1.56
P4 0.0021 0.9640 0.7466  4 O 1.54-1.56
Si1 0.6460 0.1086 0.2440  4 O 1.63-1.65
Si2 0.1460 0.6086 0.2440  4 O 1.63-1.65
Si3 0.8556 0.6056 0.2555  4 O 1.62-1.66
Si4 0.6460 0.8914 0.7440  4 O 1.63-1.65
Si5 0.8556 0.3944 0.7555  4 O 1.62-1.66
Si6 0.3556 0.8944 0.7555  4 O 1.62-1.66
Si7 0.3556 0.1056 0.2555  4 O 1.62-1.66
Si8 0.1460 0.3914 0.7440  4 O 1.63-1.65

Properties
Its distance to the lowest polymorph of the same formula is 0 meV per atom. The calculation puts the formation energy at -3025 meV/atom. As for the total moment: 0.0 μB per cell.